Compound: SrCa7TiMn7O23
Source: the Materials Project database
Functional: GGA+U
Structure: optimized geometry

Geometry as POSCAR:
```
SrCa7TiMn7O23
1.0
10.898 -0.007 -0.028
-0.010 15.405 -0.010
-0.027 -0.007 10.798
O Sr Ti Ca Mn
92 4 4 28 28
direct
0.857 0.771 0.645
0.857 0.770 0.144
0.352 0.264 0.646
0.756 0.375 0.461
0.106 0.772 0.105
0.490 0.626 0.713
0.237 0.627 0.540
0.858 0.482 0.144
0.143 0.243 0.349
0.232 0.150 0.053
0.741 0.627 0.039
0.396 0.726 0.397
0.900 0.235 0.903
0.647 0.521 0.355
0.362 0.490 0.142
0.649 0.230 0.851
0.147 0.730 0.853
0.645 0.729 0.856
0.755 0.874 0.461
0.989 0.625 0.712
0.604 0.986 0.093
0.890 0.234 0.401
0.598 0.268 0.594
0.355 0.979 0.646
0.493 0.124 0.716
0.895 0.015 0.899
0.850 0.274 0.650
0.999 0.131 0.217
0.400 0.221 0.372
0.102 0.484 0.103
0.004 0.871 0.284
0.146 0.522 0.353
0.492 0.629 0.210
0.896 0.730 0.896
0.748 0.375 0.967
0.598 0.981 0.598
0.511 0.874 0.785
0.897 0.730 0.396
0.099 0.978 0.616
0.145 0.023 0.862
0.011 0.376 0.788
0.853 0.980 0.143
0.269 0.874 0.459
0.644 0.520 0.857
0.397 0.730 0.898
0.109 0.985 0.109
0.613 0.486 0.113
0.395 0.021 0.896
0.509 0.376 0.772
0.262 0.877 0.965
0.745 0.125 0.543
0.136 0.006 0.363
0.853 0.978 0.646
0.099 0.269 0.602
0.856 0.479 0.645
0.986 0.125 0.725
0.593 0.252 0.107
0.148 0.516 0.852
0.649 0.020 0.849
0.748 0.124 0.035
0.106 0.772 0.603
0.654 0.220 0.357
0.355 0.769 0.646
0.744 0.625 0.539
0.406 0.231 0.890
0.500 0.380 0.281
0.237 0.629 0.040
0.988 0.626 0.209
0.105 0.481 0.604
0.896 0.519 0.897
0.647 0.729 0.354
0.251 0.358 0.009
0.622 0.030 0.355
0.147 0.731 0.351
0.395 0.522 0.396
0.509 0.871 0.301
0.007 0.377 0.277
0.756 0.874 0.961
0.608 0.767 0.607
0.257 0.118 0.517
0.145 0.230 0.840
0.357 0.991 0.158
0.394 0.518 0.894
0.355 0.484 0.645
0.607 0.484 0.604
0.607 0.773 0.109
0.860 0.272 0.142
0.357 0.773 0.146
0.897 0.518 0.396
0.011 0.873 0.792
0.881 0.017 0.387
0.264 0.377 0.476
0.497 0.382 0.997
0.247 0.118 0.265
0.240 0.385 0.253
0.013 0.119 0.506
0.251 0.993 0.994
0.996 0.992 0.250
0.256 0.246 0.959
0.984 0.252 0.268
0.973 0.872 0.507
0.536 0.122 0.972
0.228 0.869 0.247
0.771 0.625 0.255
0.976 0.381 0.507
0.729 0.872 0.745
0.522 0.625 0.995
0.729 0.380 0.748
0.272 0.625 0.755
0.482 0.865 0.515
0.227 0.870 0.744
0.968 0.386 0.999
0.771 0.626 0.754
0.011 0.118 0.992
0.527 0.129 0.506
0.486 0.868 0.996
0.020 0.626 0.497
0.273 0.116 0.734
0.974 0.871 0.004
0.274 0.627 0.256
0.479 0.385 0.511
0.772 0.117 0.250
0.734 0.866 0.247
0.525 0.625 0.498
0.774 0.123 0.757
0.224 0.381 0.727
0.736 0.387 0.247
0.021 0.626 0.995
0.250 0.504 0.501
0.748 0.251 0.507
0.501 0.506 0.251
0.502 0.998 0.748
0.750 0.749 0.000
0.001 0.503 0.249
0.505 0.250 0.743
0.252 0.251 0.499
0.000 0.747 0.250
0.000 0.502 0.750
0.500 0.748 0.252
0.750 0.749 0.500
0.000 0.749 0.750
0.995 0.996 0.753
0.995 0.252 0.746
0.500 0.748 0.751
0.250 0.748 0.002
0.242 0.992 0.507
0.751 0.501 0.501
0.500 0.503 0.749
0.522 0.258 0.266
0.249 0.504 0.002
0.509 0.984 0.241
0.745 0.000 0.501
0.750 0.997 0.996
0.752 0.250 0.999
0.250 0.749 0.500
0.750 0.505 0.001
```

Properties
Its formation energy is -2.630 eV/atom. As for the space group: P1, No. 1.

Compound: SrCaMnWO6
Source: the Materials Project database
Functional: GGA+U
Structure: optimized geometry

Geometry as POSCAR:
```
SrCaMnWO6
1.0
-1.275 2.839 -4.820
-5.260 2.167 -0.748
-0.810 5.678 0.144
Sr O W Ca Mn
1 6 1 1 1
direct
0.750 0.750 0.750
0.739 0.739 0.261
0.739 0.261 0.739
0.261 0.261 0.739
0.261 0.739 0.261
0.739 0.261 0.261
0.261 0.739 0.739
0.500 0.500 0.500
0.250 0.250 0.250
0.000 0.000 0.000
```

Properties
Its formation energy is -2.675 eV/atom. As for the space group: F-43m, No. 216.

Compound: Ca2TaMnO6
Source: the Materials Project database
Functional: GGA+U
Structure: optimized geometry

Geometry as POSCAR:
```
Ca2TaMnO6
1.0
-1.019 -5.070 1.936
1.227 -5.011 -10.259
7.520 -0.984 1.380
O Ta Mn Ca
24 4 4 8
direct
0.719 0.657 0.951
0.719 0.157 0.951
0.202 0.101 0.048
0.405 0.486 0.750
0.281 0.343 0.451
0.405 0.986 0.750
0.098 0.236 0.750
0.798 0.899 0.548
0.719 0.657 0.549
0.798 0.399 0.952
0.202 0.101 0.452
0.902 0.264 0.250
0.281 0.843 0.049
0.281 0.343 0.049
0.902 0.764 0.250
0.281 0.843 0.451
0.595 0.014 0.250
0.202 0.601 0.048
0.098 0.736 0.750
0.719 0.157 0.549
0.798 0.399 0.548
0.595 0.514 0.250
0.798 0.899 0.952
0.202 0.601 0.452
0.000 0.750 0.000
0.000 0.250 0.500
0.000 0.250 0.000
0.000 0.750 0.500
0.500 0.000 0.000
0.500 0.500 0.500
0.500 0.000 0.500
0.500 0.500 0.000
0.982 0.024 0.750
0.018 0.476 0.250
0.982 0.524 0.750
0.018 0.976 0.250
0.494 0.717 0.250
0.506 0.283 0.750
0.506 0.783 0.750
0.494 0.217 0.250
```

Properties
Its formation energy is -3.114 eV/atom.